No. 1
Density functional theory data (PBE) for Pu4Sb3 after structural relaxation.

Results
Total DFT energy (no corrections) (eV for the cell shown): -148.742

Geometry as CIF:
```
data_Pu4Sb3
_chemical_formula_sum 'Pu8 Sb6'
_cell_length_a 8.0536
_cell_length_b 8.0536
_cell_length_c 8.0536
_cell_angle_alpha 109.47
_cell_angle_beta 109.47
_cell_angle_gamma 109.47
_symmetry_space_group_name_H-M 'P 1'
_symmetry_Int_Tables_number 1
loop_
_symmetry_equiv_pos_as_xyz
'x,y,z'
loop_
_atom_site_label
_atom_site_type_symbol
_atom_site_fract_x
_atom_site_fract_y
_atom_site_fract_z
_atom_site_occupancy
Pu1 Pu 0.3446 0.3446 0.3446 1
Pu2 Pu 0.1554 0.5000 0.0000 1
Pu3 Pu 0.0000 0.1554 0.5000 1
Pu4 Pu 0.8446 0.8446 0.8446 1
Pu5 Pu 0.5000 0.0000 0.1554 1
Pu6 Pu 0.6554 0.5000 0.0000 1
Pu7 Pu 0.5000 0.0000 0.6554 1
Pu8 Pu 0.0000 0.6554 0.5000 1
Sb1 Sb 0.1250 0.8750 0.2500 1
Sb2 Sb 0.3750 0.6250 0.7500 1
Sb3 Sb 0.8750 0.2500 0.1250 1
Sb4 Sb 0.6250 0.7500 0.3750 1
Sb5 Sb 0.2500 0.1250 0.8750 1
Sb6 Sb 0.7500 0.3750 0.6250 1
```

No. 2
Density functional theory data (PBE) for Pu2SbTe2 after structural relaxation.

Results
Total DFT energy (no corrections) (eV for the cell shown): -42.467

Geometry as CIF:
```
data_Pu2SbTe2
_chemical_formula_sum 'Pu2 Sb1 Te2'
_cell_length_a 4.2712
_cell_length_b 4.2712
_cell_length_c 8.7789
_cell_angle_alpha 90.00
_cell_angle_beta 90.00
_cell_angle_gamma 90.00
_symmetry_space_group_name_H-M 'P 1'
_symmetry_Int_Tables_number 1
loop_
_symmetry_equiv_pos_as_xyz
'x,y,z'
loop_
_atom_site_label
_atom_site_type_symbol
_atom_site_fract_x
_atom_site_fract_y
_atom_site_fract_z
_atom_site_occupancy
Pu1 Pu 0.5000 0.0000 0.7217 1
Pu2 Pu 0.0000 0.5000 0.2783 1
Sb1 Sb 0.5000 0.5000 0.0000 1
Te1 Te 0.5000 0.0000 0.3582 1
Te2 Te 0.0000 0.5000 0.6418 1
```

Across the entries above, ΔE_f takes the values -5.49 -4.36 eV per formula unit, respectively.